Computed, not measured: an optimized crystal structure of Ir3S8 at the GGA-PBE level of DFT.

Energy of formation from the pure elements, eV/atom: -0.689
Space-group type: R-3
Density, g cm⁻³: 7.4
E (MP2020), eV per atom: -6.1078

abc: 5.7188 5.7188 5.7188
angles: 89.46 89.46 89.46
With the nearest neighbours (Å) after each atom.
Element x y z (fractional)
Ir: 0.0000 0.5000 0.5000  6 S 2.36-2.41
Ir: 0.5000 0.0000 0.5000  6 S 2.36-2.41
Ir: 0.5000 0.5000 0.0000  6 S 2.36-2.41
S: 0.3951 0.8886 0.1105  1 S 2.15, 2 Ir 2.39-2.41
S: 0.1105 0.3951 0.8886  1 S 2.15, 2 Ir 2.39-2.41
S: 0.8886 0.1105 0.3951  1 S 2.15, 2 Ir 2.39-2.41
S: 0.6049 0.1114 0.8895  1 S 2.15, 2 Ir 2.39-2.41
S: 0.8895 0.6049 0.1114  1 S 2.15, 2 Ir 2.39-2.41
S: 0.1114 0.8895 0.6049  1 S 2.15, 2 Ir 2.39-2.41
S: 0.6273 0.6273 0.6273  3 Ir 2.36, 1 S 2.55
S: 0.3727 0.3727 0.3727  3 Ir 2.36, 1 S 2.55